Density functional theory data (PBE) for an optimized crystal structure of BaLaMgBiO6.

Output
largest piezoelectric modulus = 0.1 C/m2
spin magnetization = 0.00 μB per atom
energy of formation from the pure elements = -2.624 eV per atom
E_tot = -0.4715 Ry per atom

Unit cell a=8.296 b=8.296 c=8.296 alpha=90.00 beta=90.00 gamma=90.00
Space group F-43m (No. 216)
One atom of each set of equivalent atoms:
Ba 0.000 0.000 0.000
La 0.000 0.000 0.500
Mg 0.250 0.250 0.250
Bi 0.250 0.250 0.750
O 0.003 0.250 0.250


Density functional theory data (PBE) for an optimized crystal structure of Ba3Li4Bi4.

Output
energy of formation from the pure elements = -0.770 eV per atom
E_tot = -0.2501 Ry per atom

Unit cell a=5.156 b=7.859 c=16.842 alpha=90.00 beta=90.00 gamma=90.00
Space group Immm (No. 71)
One atom of each set of equivalent atoms:
Ba 0.000 0.000 0.000
Ba 0.000 0.500 0.131
Li 0.000 0.305 0.325
Bi 0.000 0.000 0.214
Bi 0.000 0.193 0.500